Entry 1:
The following is a PBE-GGA calculation of a geometry-optimized Nd3Y structure, from Materials Project.

Space group = No. 194
DFT formation energy = 10 kJ/mol of formula units
Energy relative to the lowest polymorph listed for this composition = 0.024 eV per atom

Structure (POSCAR):
```
Nd3Y
1.0
-5.638 4.758 0.195
4.187 -0.514 -6.055
-3.648 -4.235 -2.164
Nd Y
6 2
direct
0.167 0.335 0.250 Nd
0.665 0.833 0.250 Nd
0.167 0.833 0.250 Nd
0.833 0.665 0.750 Nd
0.335 0.167 0.750 Nd
0.833 0.167 0.750 Nd
0.333 0.667 0.750 Y
0.667 0.333 0.250 Y
```



Entry 2:
The following is a PBE-GGA calculation of a geometry-optimized Nd3Y structure, from Materials Project.

Space group = No. 187
DFT formation energy = 0 kJ/mol of formula units
Energy relative to the lowest polymorph listed for this composition = 0.000 eV per atom

Structure (POSCAR):
```
Nd3Y
1.0
1.825 -3.161 0.000
1.825 3.161 0.000
0.000 0.000 11.913
Nd Y
3 1
direct
0.333 0.667 0.000 Nd
0.000 0.000 0.746 Nd
0.000 0.000 0.254 Nd
0.667 0.333 0.500 Y
```



Entry 3:
The following is a PBE-GGA calculation of a geometry-optimized Nd2Y structure, from Materials Project.

Space group = No. 166
DFT formation energy = 6 kJ/mol of formula units

Structure (POSCAR):
```
Nd2Y
1.0
9.031 -1.824 0.000
9.031 1.824 0.000
8.663 0.000 3.137
Nd Y
2 1
direct
0.776 0.776 0.776 Nd
0.224 0.224 0.224 Nd
0.000 0.000 0.000 Y
```



Entry 4:
The following is a PBE-GGA calculation of a geometry-optimized Nd3Zn structure, from Materials Project.

Space group = No. 139
DFT formation energy = -12 kJ/mol of formula units
Size of the total moment = 0.0 μB per formula unit

Structure (POSCAR):
```
Nd3Zn
1.0
-2.407 2.407 5.010
2.407 -2.407 5.010
2.407 2.407 -5.010
Nd Zn
3 1
direct
0.750 0.250 0.500 Nd
0.250 0.750 0.500 Nd
0.500 0.500 0.000 Nd
0.000 0.000 0.000 Zn
```



Entry 5:
The following is a PBE-GGA calculation of a geometry-optimized NdZn11 structure, from Materials Project.

Space group = No. 141
DFT formation energy = -253 kJ/mol of formula units

Structure (POSCAR):
```
NdZn11
1.0
2.705 -2.977 -7.239
0.569 -3.020 7.690
-8.173 -0.640 -1.171
Nd Zn
2 22
direct
0.250 0.750 0.500 Nd
0.000 0.000 0.000 Nd
0.424 0.097 0.916 Zn
0.180 0.507 0.084 Zn
0.500 0.500 0.000 Zn
0.750 0.250 0.500 Zn
0.625 0.375 0.750 Zn
0.125 0.375 0.750 Zn
0.625 0.375 0.250 Zn
0.625 0.875 0.250 Zn
0.180 0.097 0.673 Zn
0.757 0.930 0.584 Zn
0.347 0.174 0.416 Zn
0.424 0.507 0.327 Zn
0.903 0.820 0.327 Zn
0.493 0.576 0.673 Zn
0.070 0.243 0.416 Zn
0.826 0.653 0.584 Zn
0.070 0.653 0.827 Zn
0.493 0.820 0.916 Zn
0.903 0.576 0.084 Zn
0.826 0.243 0.173 Zn
0.347 0.930 0.173 Zn
0.757 0.174 0.827 Zn
```



Entry 6:
The following is a PBE-GGA calculation of a geometry-optimized Nd3Zn11 structure, from Materials Project.

Space group = No. 71
DFT formation energy = -449 kJ/mol of formula units
Size of the total moment = 0.1 μB per formula unit

Structure (POSCAR):
```
Nd3Zn11
1.0
4.458 0.000 0.000
2.229 4.536 6.567
2.229 -4.536 6.567
Nd Zn
3 11
direct
0.699 0.301 0.301 Nd
0.301 0.699 0.699 Nd
0.000 0.000 0.000 Nd
0.662 0.700 0.976 Zn
0.338 0.300 0.024 Zn
0.662 0.976 0.700 Zn
0.338 0.024 0.300 Zn
0.500 0.698 0.302 Zn
0.500 0.302 0.698 Zn
0.862 0.416 0.860 Zn
0.138 0.584 0.140 Zn
0.862 0.860 0.416 Zn
0.138 0.140 0.584 Zn
0.000 0.500 0.500 Zn
```